Record 1
Below is an optimized crystal structure of Na4ZnSi2SnSO12, with properties calculated at the PBE level. Values from VASP.

Cell and atoms, written as Quantum ESPRESSO input:
```
&SYSTEM
  ibrav = 0, nat = 126, ntyp = 6
/
ATOMIC_SPECIES
Si 28.09 Si.upf
O 16.00 O.upf
Na 22.99 Na.upf
Sn 118.71 Sn.upf
Zn 65.41 Zn.upf
S 32.06 S.upf
ATOMIC_POSITIONS angstrom
Si 6.4702 -0.0021 16.7464
O 1.8321 0.2387 6.9169
O 6.4504 2.8626 14.3276
O -2.7643 7.5164 4.2639
O -0.5024 3.7865 5.6843
O 7.4043 0.2217 18.0388
O 3.7166 1.3299 5.4596
O -1.1854 3.7834 19.1769
O 3.7339 3.8839 20.4497
Na 5.8009 5.4105 20.4686
O -0.7812 6.8772 12.8679
Sn 4.4707 2.6405 21.8802
O 5.4263 6.2035 17.8970
Zn 4.6336 2.6286 15.1748
S 1.3883 2.9451 9.2905
O 2.7643 7.4994 15.3858
Sn 4.7657 2.6575 10.7584
O 3.7166 6.5777 20.2811
Na -1.1826 2.8036 1.9360
Si 7.3845 2.6388 13.0352
Si 2.7662 5.2627 20.4460
O 0.6605 6.9179 7.9350
O -1.8539 4.8755 7.9751
Na -4.5123 7.7833 22.1158
O 3.8370 4.2534 5.4572
Sn 0.1475 5.2814 18.1691
Na 1.7413 2.7706 5.4284
Sn -0.1475 5.2984 7.0473
Na 6.3595 0.1127 20.2614
O 3.5031 4.0072 14.3264
O -1.6636 5.1917 1.7770
Na 2.8770 0.1297 9.1395
O 0.9016 3.9708 1.7485
S -1.3883 2.9281 20.4124
Si 1.3530 2.2968 16.7496
O -0.9016 3.9538 12.8703
S -3.2300 5.5690 16.7013
O 5.1207 1.1456 9.3954
Na 7.5444 2.2722 9.1116
O 1.1152 1.3663 18.0375
Zn 9.2211 -0.0123 18.8859
Si 5.9713 4.9547 1.9166
Na 1.1826 2.7866 13.0579
Zn 4.6029 2.6456 4.0529
Na 2.8770 5.4115 1.7173
Si 3.2652 4.9377 13.0385
O 0.8081 3.5796 10.4863
Zn -0.0154 5.2694 11.4637
Na 2.9262 4.8960 16.5224
O -3.4329 6.4242 15.4658
Na 4.7242 2.5356 7.2943
O 4.1158 1.1286 20.5173
O 6.2818 2.5508 5.4881
O 0.6605 1.6361 15.3573
O 6.3528 2.7897 20.4996
Na 3.4356 5.4275 9.3468
O 1.7346 0.1659 13.0889
Si 1.3530 7.5786 9.3273
O 7.5019 0.1829 1.9670
O 5.3995 4.2363 16.5790
O 0.5024 3.7695 16.8061
Na 6.3103 4.9130 5.4005
O 1.8539 4.8585 19.0969
Si -1.3530 7.5616 20.4492
O -0.6605 6.9008 19.0569
O 0.7812 1.6125 9.1683
O 6.4722 2.2346 11.6862
O 1.1152 6.6481 10.6153
Zn 0.0153 0.0047 7.7641
O 3.9577 4.2770 11.6461
O 0.8844 1.2771 1.9171
Si -2.7662 5.2797 9.3241
O 5.4263 0.9557 3.0755
O -1.8321 5.5035 10.6165
Na 3.4356 0.1457 16.7690
Na -2.8770 5.3945 12.8391
Si 2.7662 0.0150 5.6245
O 2.8837 2.8067 9.3778
O -0.7812 1.5955 20.2902
O 2.7643 2.2517 0.5643
Na -1.6920 7.5539 1.6894
O 0.7812 6.8943 1.7461
O 4.1158 6.4104 13.0950
Na 4.5123 2.5186 18.4162
O -0.8844 6.5418 5.6168
Zn 0.0153 5.2865 0.3418
O 5.8036 1.1765 0.6443
O 5.5199 1.3129 16.5814
O 3.8101 6.2205 6.7751
Na 7.4952 2.7536 16.5502
O 5.7334 4.0242 3.2045
O -3.7166 6.5947 9.1592
Na 0.1059 5.1595 14.7051
O 8.3521 1.2601 13.0390
O 5.2788 4.2940 0.5243
Na 1.6920 2.2551 20.2335
O 3.4329 6.4413 4.3439
Sn 9.0890 0.0166 14.4695
Na -0.1060 5.1765 3.5832
O 5.1207 6.4274 1.9732
Na 4.5123 7.8003 10.9939
O 2.7861 2.8796 3.2058
O 1.8321 5.4865 21.7384
S 6.0065 0.3213 1.8798
Si 1.8520 2.6558 1.9134
O -1.7346 5.4306 16.7885
O 1.1853 3.8004 8.0551
S 3.2300 5.5860 5.5794
S 3.2300 0.3043 13.0017
O -0.6605 1.6531 4.2354
Sn 0.1475 0.0337 3.3476
O 8.1213 1.3833 6.9157
O -2.9547 7.7985 20.3096
Si -1.3530 2.3138 5.6277
O 0.8843 6.5248 16.7386
Na 1.6920 7.5369 12.8112
Na 5.8009 0.1627 5.6471
O -1.1152 6.6310 21.7372
O 3.4329 1.1595 11.7662
O 1.7346 5.4476 5.6667
O -0.8081 3.5626 21.6081
O 2.9547 2.5337 16.6100
O 1.6636 5.1746 12.8989
O 2.9547 7.8155 9.1877
O 5.5026 3.9010 9.3279
O 3.8101 0.9387 14.1974
CELL_PARAMETERS angstrom
9.2365 0.0000 0.0000
-4.6182 7.9056 -0.0115
0.0000 -0.0340 22.2437
```

## Properties
- Spin magnetization: 0.00 Bohr magnetons per cell
- Formation energy from the elements: -4729 kJ/mol of formula units
- E (MP2020): -6.3778 eV per atom

---

Record 2
Below is an optimized crystal structure of Na10Zn2Si7Sn6S5O48, with properties calculated at the PBE level. Values from VASP.

Cell and atoms, written as Quantum ESPRESSO input:
```
&SYSTEM
  ibrav = 0, nat = 234, ntyp = 6
/
ATOMIC_SPECIES
Na 22.99 Na.upf
Zn 65.41 Zn.upf
Si 28.09 Si.upf
Sn 118.71 Sn.upf
S 32.06 S.upf
O 16.00 O.upf
ATOMIC_POSITIONS angstrom
Na 0.0000 0.0000 0.0000
Na -0.0163 4.6032 7.5517
Na 0.0214 14.8643 15.1460
Na 0.0690 5.0697 15.1599
Na 1.1251 12.8698 3.7831
Na 1.1701 7.1504 3.7858
Na 1.1812 12.3228 18.9210
Na 1.6162 2.3520 3.7664
Na 2.8120 15.0881 13.2227
Na 2.8056 9.8586 20.7956
Na 2.8834 4.8974 5.7127
Na 2.9107 15.1859 1.8819
Na 2.8878 4.8305 17.0656
Na 2.9040 10.0015 9.5110
Na 3.9683 2.3506 15.2536
Na 4.4121 7.0691 15.2582
Na 4.4943 2.0492 0.0110
Na 4.5123 2.4399 7.6615
Na 5.7054 10.1496 19.0341
Na 5.8222 14.8420 3.8021
Na 6.0953 15.1856 19.0397
Na 6.2757 10.1639 3.8663
Na 7.2906 12.6801 5.6566
Na 7.4028 2.1521 9.4196
Na 7.3682 12.5603 17.0580
Na 7.4255 7.3907 1.8559
Na 7.3979 2.2768 20.8671
Na 7.4211 7.4750 13.2303
Na 8.6069 10.0744 15.1094
Na 8.9778 10.2422 7.6317
Zn 2.7141 4.8053 2.2332
Zn 2.8540 4.8300 13.8497
Zn 2.9323 15.2851 9.7700
Zn 7.2968 12.7004 2.4503
Zn 7.2693 7.4935 21.1379
Zn 7.5003 12.4950 13.5810
Si 0.2263 10.0357 3.8288
Si 0.1780 15.2026 19.0157
Si 0.9739 2.2207 15.1998
Si 1.0402 7.4696 7.6170
Si 1.5106 7.7308 15.1888
Si 1.5518 1.8948 7.6892
Si 1.5253 12.3071 15.2225
Si 1.5861 2.6475 0.0134
Si 4.1228 12.9050 18.9720
Si 4.1724 12.3182 3.8289
Si 4.1679 1.9562 18.9255
Si 4.6914 7.3774 19.0082
Si 5.5123 15.1814 7.6401
Si 6.0089 9.7168 7.5704
Si 6.0366 14.8972 0.0970
Si 6.0547 4.5165 15.1910
Si 6.0745 5.2279 7.6310
Si 8.6891 4.5787 3.8342
Si 8.6573 10.3081 11.3857
Si 8.6609 9.6265 19.0639
Si 8.7418 0.0057 3.8354
Sn 2.6520 10.0984 12.8380
Sn 2.7324 9.9272 17.5750
Sn 2.7756 15.1440 16.7190
Sn 2.8312 10.0716 1.5332
Sn 2.8859 15.2054 5.3784
Sn 2.8996 10.0484 6.1630
Sn 2.8766 4.7925 20.4116
Sn 2.9073 4.8756 9.0465
Sn 2.8803 15.2090 21.2303
Sn 7.2594 12.5845 9.0963
Sn 7.2978 12.6015 20.4513
Sn 7.3350 7.4061 16.7484
Sn 7.3713 2.3013 17.5504
Sn 7.3803 7.5440 9.8394
Sn 7.4390 7.4080 5.3491
Sn 7.4320 2.2796 12.8914
Sn 7.4783 2.2313 6.2153
Sn 7.5431 2.3283 1.4702
S 0.2121 4.8433 11.4102
S 1.0239 12.6123 0.0366
S 1.5246 12.9455 7.6631
S 1.5598 7.1880 0.0548
S 4.1972 7.7456 3.7884
S 4.1823 7.1169 11.4464
S 4.1971 2.5589 11.4617
S 4.7013 12.6162 11.4743
S 4.7671 2.3313 3.8142
S 5.4418 10.0431 15.1769
S 5.5267 4.9382 0.0868
S 6.0482 10.3403 0.0860
S 6.0391 -0.0540 15.1679
S 8.6823 14.9075 11.4350
S 8.6810 5.1439 19.0415
O 0.0039 2.5143 16.4828
O 0.0439 12.7808 7.7338
O 0.0390 1.8073 13.8962
O 0.0506 7.2410 22.6728
O 0.0996 7.7910 8.8915
O 0.2043 12.7963 1.2281
O 0.2021 7.1031 6.2550
O 0.1567 12.3191 21.5348
O 1.0263 4.9996 12.6102
O 1.0435 4.6411 10.1681
O 1.0311 14.8373 17.6712
O 1.0459 15.4054 20.3769
O 1.1046 15.0528 11.3023
O 1.1564 10.3038 5.1656
O 1.1334 5.0109 19.1071
O 1.1963 9.6192 2.5483
O 1.2327 9.9389 18.9241
O 1.3064 4.7476 3.7253
O 1.3033 10.1771 11.3677
O 1.3645 15.4522 3.9961
O 1.6884 8.7060 13.8824
O 1.7278 13.7076 6.3720
O 1.7163 11.3529 16.5454
O 1.7569 0.9936 8.9595
O 1.7884 3.5232 21.4667
O 1.8530 6.4365 1.2958
O 1.7893 13.7615 22.6583
O 1.9026 11.3905 0.0840
O 1.8778 3.5405 15.0510
O 1.9058 6.0911 7.7940
O 1.9018 8.8500 7.4703
O 1.9431 0.8884 15.2990
O 2.1114 11.5726 7.5229
O 2.1255 13.5539 8.8230
O 2.1462 6.2616 15.0452
O 2.1394 6.4963 21.5973
O 2.1665 1.0191 22.6299
O 2.2047 13.8040 15.3002
O 2.2539 8.5687 0.1226
O 2.2659 3.4170 7.7878
O 2.2855 1.3873 6.2669
O 2.2677 11.6907 13.9072
O 2.3243 3.1454 1.3597
O 2.2973 8.3502 16.4673
O 3.3968 11.7022 2.4999
O 3.3424 13.5081 20.2734
O 3.4321 13.8042 3.9453
O 3.4574 3.4039 19.0714
O 3.4893 11.4170 18.8146
O 3.5399 8.3362 4.9890
O 3.5430 6.5195 10.2126
O 3.5386 1.2894 17.5683
O 3.5746 6.4323 3.6153
O 3.5912 8.4921 11.5293
O 3.6045 1.2309 11.3328
O 3.6426 3.2329 12.6353
O 3.6746 6.0865 19.1333
O 3.8075 13.7703 11.2978
O 3.8433 8.7865 18.8221
O 3.8909 3.5009 3.7065
O 3.9203 1.0737 3.8910
O 3.8998 11.3209 11.5476
O 3.9222 6.3122 12.6379
O 3.9465 11.3243 5.0967
O 4.0065 3.3964 10.2030
O 4.0170 8.6387 2.5867
O 4.0287 13.9032 17.6845
O 4.0556 1.0125 20.2712
O 4.3927 9.8898 7.4794
O 4.3513 15.0273 22.6624
O 4.4623 4.9662 7.7946
O 4.4616 4.6753 15.0510
O 4.5140 10.2283 0.1569
O 4.5500 15.4113 15.2794
O 4.5876 9.7693 13.9858
O 4.6189 -0.0144 8.9036
O 4.6779 5.1181 1.2648
O 4.6375 4.5611 21.5961
O 4.6763 14.9106 6.2136
O 4.6529 10.2059 16.4217
O 5.5074 12.3701 10.2162
O 5.5756 2.4886 5.0390
O 5.5377 7.1076 17.5849
O 5.5989 2.0734 2.5943
O 5.5609 12.8148 12.6426
O 5.5929 7.6994 20.2761
O 5.6702 7.6944 3.9201
O 5.6566 7.2102 11.2812
O 5.7261 2.4386 11.5345
O 5.7680 12.4438 3.7597
O 5.7523 12.7381 19.1311
O 5.8189 2.0127 18.8259
O 6.1986 8.8000 8.8904
O 6.1786 11.0862 21.5716
O 6.2323 6.1342 6.2924
O 6.2400 0.8511 13.9807
O 6.2387 3.5212 16.4697
O 6.3108 3.6267 0.1671
O 6.3187 14.0437 1.4017
O 6.3014 8.7880 15.2613
O 6.3237 11.2113 15.0670
O 6.3725 1.0673 7.4484
O 6.3686 5.9866 22.6538
O 6.5192 13.8774 7.7742
O 6.6029 10.9929 1.2656
O 6.5732 8.9212 22.6982
O 6.6985 0.9393 0.1744
O 6.6529 14.1592 14.9960
O 6.6659 0.5288 16.3974
O 6.7288 3.7257 7.4690
O 6.7534 9.1166 6.2181
O 6.7552 14.2462 21.4751
O 6.7910 6.0013 15.3199
O 6.8169 11.1565 7.7075
O 6.8390 3.8924 13.8724
O 6.8472 5.8274 8.9460
O 7.9304 0.6785 5.0697
O 7.9678 3.9334 2.5123
O 7.9322 9.1159 17.6391
O 7.9353 11.1467 19.1733
O 7.9686 8.7921 11.2897
O 7.9950 0.7636 11.4896
O 8.0160 6.0772 3.9057
O 8.0404 10.8720 12.7572
O 8.0483 14.2949 10.2237
O 8.0610 3.7860 18.9122
O 8.0783 5.7553 20.2007
O 8.1211 14.0518 3.7351
O 8.2028 0.9524 18.8575
O 8.2891 8.6917 3.9292
O 8.2760 13.8304 19.1240
O 8.3514 11.3551 3.6512
O 8.3588 6.0279 11.2830
O 8.3809 3.5865 11.4474
O 8.3846 14.1589 12.6739
O 8.4364 11.2636 10.0362
O 8.5053 3.6311 5.1610
O 8.4599 8.7210 20.3330
O 8.4791 5.8988 17.7417
O 8.6139 0.9364 2.4705
O 8.8769 7.6350 15.3620
O 8.9096 12.4782 15.1162
O 8.9698 2.4440 0.0338
O 8.9783 2.2110 7.5562
CELL_PARAMETERS angstrom
9.0239 0.0000 0.0000
-0.0130 15.5244 0.0000
-0.0620 -0.0864 22.7486
```

## Properties
- Spin magnetization: 0.00 Bohr magnetons per cell
- Formation energy from the elements: -17403 kJ/mol of formula units
- E (MP2020): -6.6196 eV per atom